# 1
Li2VF4: relaxed, PBE+U.

Output
The value obtained for the formation energy is -3076 meV/atom. For the total energy, the calculation gives -154.2 eV/cell. As for the space group: P4_122, No. 91. Its piezoelectric modulus e_max is 0.03 C/m2. For the energy above the most stable polymorph in this dataset, the calculation gives 0 meV per atom.

a = 6.1165 Å, b = 6.1165 Å, c = 8.5424 Å
α = 90.00°, β = 90.00°, γ = 90.00°
Closest atoms and distances in Å follow each position.
Element x y z (fractional)
Li 0.2528 0.2528 0.3750  4 F 1.93-1.99
Li 0.2528 0.7472 0.1250  4 F 1.93-1.99
Li 0.2787 0.5000 0.7500  6 F 2.00-2.19
Li 0.5000 0.2787 0.0000  6 F 2.00-2.19
Li 0.5000 0.7213 0.5000  6 F 2.00-2.19
Li 0.7213 0.5000 0.2500  6 F 2.00-2.19
Li 0.7472 0.2528 0.6250  4 F 1.93-1.99
Li 0.7472 0.7472 0.8750  4 F 1.93-1.99
V 0.0000 0.2647 0.0000  6 F 2.09-2.14
V 0.0000 0.7353 0.5000  6 F 2.09-2.14
V 0.2647 0.0000 0.7500  6 F 2.09-2.14
V 0.7353 0.0000 0.2500  6 F 2.09-2.14
F 0.0204 0.2513 0.7520  2 Li 1.99-2.19, 2 V 2.12-2.14
F 0.0204 0.7487 0.7480  2 Li 1.99-2.19, 2 V 2.12-2.14
F 0.2513 0.0204 0.9980  2 Li 1.99-2.19, 2 V 2.12-2.14
F 0.2513 0.9796 0.5020  2 Li 1.99-2.19, 2 V 2.12-2.14
F 0.2541 0.4928 0.9918  3 Li 1.93-2.07, 1 V 2.09
F 0.2541 0.5072 0.5082  3 Li 1.93-2.07, 1 V 2.09
F 0.4928 0.2541 0.7582  3 Li 1.93-2.07, 1 V 2.09
F 0.4928 0.7459 0.7418  3 Li 1.93-2.07, 1 V 2.09
F 0.5072 0.2541 0.2418  3 Li 1.93-2.07, 1 V 2.09
F 0.5072 0.7459 0.2582  3 Li 1.93-2.07, 1 V 2.09
F 0.7459 0.5072 0.4918  3 Li 1.93-2.07, 1 V 2.09
F 0.7459 0.4928 0.0082  3 Li 1.93-2.07, 1 V 2.09
F 0.7487 0.9796 0.4980  2 Li 1.99-2.19, 2 V 2.12-2.14
F 0.7487 0.0204 0.0020  2 Li 1.99-2.19, 2 V 2.12-2.14
F 0.9796 0.2513 0.2480  2 Li 1.99-2.19, 2 V 2.12-2.14
F 0.9796 0.7487 0.2520  2 Li 1.99-2.19, 2 V 2.12-2.14

# 2
Li2VF4: relaxed, PBE+U.

Output
The value obtained for the formation energy is -3023 meV/atom. For the total energy, the calculation gives -152.7 eV/cell. As for the space group: P2_1/c, No. 14. For the energy above the most stable polymorph in this dataset, the calculation gives 53 meV per atom.

a = 6.1920 Å, b = 5.3822 Å, c = 11.0408 Å
α = 65.80°, β = 90.00°, γ = 90.00°
Closest atoms and distances in Å follow each position.
Element x y z (fractional)
Li 0.5661 0.5910 0.7241  3 F 1.87-1.95
Li 0.1131 0.2013 0.0517  3 F 1.90-1.96
Li 0.0661 0.4090 0.7759  3 F 1.87-1.95
Li 0.6131 0.7987 0.4483  3 F 1.90-1.96
Li 0.3869 0.2013 0.5517  3 F 1.90-1.96
Li 0.9339 0.5910 0.2241  3 F 1.87-1.95
Li 0.8869 0.7987 0.9483  3 F 1.90-1.96
Li 0.4339 0.4090 0.2759  3 F 1.87-1.95
V 0.6340 0.2333 0.0123  6 F 2.09-2.17
V 0.1340 0.7667 0.4877  6 F 2.09-2.17
V 0.8660 0.2333 0.5123  6 F 2.09-2.17
V 0.3660 0.7667 0.9877  6 F 2.09-2.17
F 0.3935 0.5093 0.8836  1 Li 1.95, 2 V 2.14-2.17
F 0.8781 0.4970 0.8926  2 Li 1.93-1.96, 1 V 2.12
F 0.3770 0.0439 0.3859  2 Li 1.87-1.90, 1 V 2.09
F 0.8710 0.0172 0.3908  1 Li 1.93, 2 V 2.11
F 0.3781 0.5030 0.6074  2 Li 1.93-1.96, 1 V 2.12
F 0.8935 0.4907 0.6164  1 Li 1.95, 2 V 2.14-2.17
F 0.3710 0.9828 0.1092  1 Li 1.93, 2 V 2.11
F 0.8770 0.9561 0.1141  2 Li 1.87-1.90, 1 V 2.09
F 0.1230 0.0439 0.8859  2 Li 1.87-1.90, 1 V 2.09
F 0.6290 0.0172 0.8908  1 Li 1.93, 2 V 2.11
F 0.1065 0.5093 0.3836  1 Li 1.95, 2 V 2.14-2.17
F 0.6219 0.4970 0.3926  2 Li 1.93-1.96, 1 V 2.12
F 0.1290 0.9828 0.6092  1 Li 1.93, 2 V 2.11
F 0.6230 0.9561 0.6141  2 Li 1.87-1.90, 1 V 2.09
F 0.1219 0.5030 0.1074  2 Li 1.93-1.96, 1 V 2.12
F 0.6065 0.4907 0.1164  1 Li 1.95, 2 V 2.14-2.17

# 3
Li3V2F12: relaxed, PBE+U.

Output
The value obtained for the formation energy is -3043 meV/atom. For the total energy, the calculation gives -358.6 eV/cell. As for the space group: P2_1/c, No. 14. For the energy above the most stable polymorph in this dataset, the calculation gives 0 meV per atom.

a = 9.4509 Å, b = 9.2648 Å, c = 15.7005 Å
α = 54.32°, β = 90.00°, γ = 90.00°
Closest atoms and distances in Å follow each position.
Element x y z (fractional)
Li 0.2634 0.4653 0.0086  4 F 1.82-2.00
Li 0.3742 0.7359 0.6527  4 F 1.82-2.00
Li 0.1147 0.0354 0.3658  4 F 1.84-2.01
Li 0.8742 0.2641 0.8473  4 F 1.82-2.00
Li 0.6147 0.9646 0.1342  4 F 1.84-2.01
Li 0.7634 0.5347 0.4914  4 F 1.82-2.00
Li 0.2366 0.4653 0.5086  4 F 1.82-2.00
Li 0.3853 0.0354 0.8658  4 F 1.84-2.01
Li 0.1258 0.7359 0.1527  4 F 1.82-2.00
Li 0.8853 0.9646 0.6342  4 F 1.84-2.01
Li 0.6258 0.2641 0.3473  4 F 1.82-2.00
Li 0.7366 0.5347 0.9914  4 F 1.82-2.00
V 0.5331 0.3734 0.8814  6 F 1.86-1.89
V 0.0331 0.6266 0.6186  6 F 1.86-1.89
V 0.4691 0.8700 0.3810  6 F 1.81-1.82
V 0.9691 0.1300 0.1190  6 F 1.81-1.82
V 0.0309 0.8700 0.8810  6 F 1.81-1.82
V 0.5309 0.1300 0.6190  6 F 1.81-1.82
V 0.9669 0.3734 0.3814  6 F 1.86-1.89
V 0.4669 0.6266 0.1186  6 F 1.86-1.89
F 0.6606 0.5250 0.8855  1 Li 1.86, 1 V 1.88
F 0.9094 0.7862 0.6166  1 Li 1.84, 1 V 1.87
F 0.8682 0.3290 0.0751  1 V 1.82, 1 Li 2.00
F 0.5720 0.0661 0.3397  1 V 1.81, 1 Li 1.97
F 0.3826 0.4579 0.9204  1 Li 1.82, 1 V 1.89
F 0.1824 0.7113 0.6587  1 Li 1.82, 1 V 1.89
F 0.4346 0.8354 0.5058  1 V 1.82, 1 Li 2.00
F 0.0037 0.0936 0.2437  1 V 1.81, 1 Li 1.97
F 0.3093 0.0036 0.3276  1 V 1.82, 1 Li 2.01
F 0.1282 0.2651 0.0650  1 V 1.82, 1 Li 1.99
F 0.4964 0.5530 0.7410  1 Li 1.84, 1 V 1.86
F 0.0732 0.8053 0.4765  1 Li 1.84, 1 V 1.88
F 0.5732 0.1947 0.0235  1 Li 1.84, 1 V 1.88
F 0.9964 0.4470 0.7590  1 Li 1.84, 1 V 1.86
F 0.6282 0.7349 0.4350  1 V 1.82, 1 Li 1.99
F 0.8093 0.9964 0.1724  1 V 1.82, 1 Li 2.01
F 0.5037 0.9064 0.2563  1 V 1.81, 1 Li 1.97
F 0.9346 0.1646 0.9942  1 V 1.82, 1 Li 2.00
F 0.6824 0.2887 0.8413  1 Li 1.82, 1 V 1.89
F 0.8826 0.5421 0.5796  1 Li 1.82, 1 V 1.89
F 0.4094 0.2138 0.8834  1 Li 1.84, 1 V 1.87
F 0.1606 0.4750 0.6145  1 Li 1.86, 1 V 1.88
F 0.0720 0.9339 0.1603  1 V 1.81, 1 Li 1.97
F 0.3682 0.6710 0.4249  1 V 1.82, 1 Li 2.00
F 0.6318 0.3290 0.5751  1 V 1.82, 1 Li 2.00
F 0.9280 0.0661 0.8397  1 V 1.81, 1 Li 1.97
F 0.8394 0.5250 0.3855  1 Li 1.86, 1 V 1.88
F 0.5906 0.7862 0.1166  1 Li 1.84, 1 V 1.87
F 0.1174 0.4579 0.4204  1 Li 1.82, 1 V 1.89
F 0.3176 0.7113 0.1587  1 Li 1.82, 1 V 1.89
F 0.0654 0.8354 0.0058  1 V 1.82, 1 Li 2.00
F 0.4963 0.0936 0.7437  1 V 1.81, 1 Li 1.97
F 0.1907 0.0036 0.8276  1 V 1.82, 1 Li 2.01
F 0.3718 0.2651 0.5650  1 V 1.82, 1 Li 1.99
F 0.0036 0.5530 0.2410  1 Li 1.84, 1 V 1.86
F 0.4268 0.8053 0.9765  1 Li 1.84, 1 V 1.88
F 0.9268 0.1947 0.5235  1 Li 1.84, 1 V 1.88
F 0.5036 0.4470 0.2590  1 Li 1.84, 1 V 1.86
F 0.8718 0.7349 0.9350  1 V 1.82, 1 Li 1.99
F 0.6907 0.9964 0.6724  1 V 1.82, 1 Li 2.01
F 0.9963 0.9064 0.7563  1 V 1.81, 1 Li 1.97
F 0.5654 0.1646 0.4942  1 V 1.82, 1 Li 2.00
F 0.8176 0.2887 0.3413  1 Li 1.82, 1 V 1.89
F 0.6174 0.5421 0.0796  1 Li 1.82, 1 V 1.89
F 0.4280 0.9339 0.6603  1 V 1.81, 1 Li 1.97
F 0.1318 0.6710 0.9249  1 V 1.82, 1 Li 2.00
F 0.0906 0.2138 0.3834  1 Li 1.84, 1 V 1.87
F 0.3394 0.4750 0.1145  1 Li 1.86, 1 V 1.88

# 4
LiVF6: relaxed, PBE+U.

Output
The value obtained for the formation energy is -2968 meV/atom. For the total energy, the calculation gives -41.8 eV/cell. As for the space group: Fm-3m, No. 225.

a = 5.4711 Å, b = 5.4711 Å, c = 5.4711 Å
α = 60.00°, β = 60.00°, γ = 60.00°
Closest atoms and distances in Å follow each position.
Element x y z (fractional)
Li 0.0000 0.0000 0.0000  6 F 2.06
V 0.5000 0.5000 0.5000  6 F 1.81
F 0.2656 0.7344 0.2656  1 V 1.81
F 0.2656 0.2656 0.7344  1 V 1.81
F 0.7344 0.2656 0.2656  1 V 1.81
F 0.7344 0.2656 0.7344  1 V 1.81
F 0.2656 0.7344 0.7344  1 V 1.81
F 0.7344 0.7344 0.2656  1 V 1.81